[1]
Here is Ba6Te10Br2O25 after structural relaxation from Materials Project. Energies are from GGA-PBE.

Cell lengths 11.674, 18.373, 18.373 Å; angles 118.38, 90.00, 90.00 degrees
Fractional coordinates of all 172 atoms:
O 0.626 0.395 0.542
O 0.829 0.759 0.633
Te 0.501 0.064 0.571
O 0.380 0.355 0.712
Br 0.752 0.420 0.920
O 0.880 0.212 0.855
O 0.594 0.663 0.091
O 0.618 0.862 0.211
O 0.410 0.895 0.650
O 0.121 0.216 0.108
Br 0.748 0.920 0.420
O 0.146 0.646 0.050
Te 0.489 0.128 0.300
Te 0.494 0.902 0.285
Te 0.747 0.696 0.684
Te 0.001 0.071 0.564
O 0.463 0.517 0.759
Ba 0.240 0.687 0.474
Ba 0.496 0.563 0.276
O 0.126 0.042 0.895
Te 0.757 0.849 0.962
Te 0.247 0.184 0.196
O 0.854 0.050 0.646
O 0.874 0.895 0.042
O 0.066 0.652 0.905
O 0.481 0.011 0.239
O 0.094 0.591 0.163
O 0.408 0.600 0.158
O 0.996 0.799 0.300
O 0.371 0.603 0.676
Ba 0.751 0.184 0.963
Te 0.267 0.937 0.627
Te 0.496 0.628 0.788
O 0.722 0.991 0.737
O 0.778 0.491 0.237
O 0.879 0.108 0.216
O 0.379 0.716 0.608
O 0.871 0.176 0.103
O 0.354 0.146 0.550
O 0.537 0.759 0.517
O 0.121 0.217 0.870
Te 0.251 0.344 0.459
Te 0.249 0.844 0.959
Br 0.252 0.420 0.920
Te 0.749 0.459 0.344
Te 0.499 0.571 0.064
O 0.377 0.853 0.206
O 0.325 0.342 0.099
O 0.222 0.237 0.491
Ba 0.000 0.018 0.018
O 0.664 0.101 0.134
Br 0.248 0.920 0.420
Ba 0.500 0.518 0.518
O 0.870 0.037 0.885
O 0.019 0.511 0.739
Ba 0.996 0.776 0.063
O 0.374 0.542 0.395
Te 0.011 0.628 0.800
O 0.504 0.299 0.800
Br 0.000 0.832 0.832
Ba 0.249 0.963 0.184
O 0.889 0.517 0.125
O 0.129 0.103 0.176
Te 0.511 0.300 0.128
Ba 0.501 0.780 0.058
O 0.623 0.206 0.853
Te 0.733 0.627 0.937
O 0.675 0.099 0.342
Te 0.751 0.959 0.844
O 0.590 0.650 0.895
O 0.611 0.017 0.625
O 0.630 0.537 0.385
Ba 0.001 0.558 0.280
O 0.370 0.385 0.537
O 0.130 0.885 0.037
O 0.906 0.163 0.591
Te 0.244 0.624 0.960
O 0.869 0.390 0.535
O 0.871 0.535 0.392
Te 0.257 0.462 0.349
O 0.004 0.300 0.799
Te 0.999 0.564 0.071
O 0.371 0.892 0.035
Te 0.506 0.285 0.902
O 0.592 0.158 0.600
Ba 0.749 0.684 0.463
Ba 0.245 0.726 0.232
Ba 0.740 0.974 0.187
Ba 0.004 0.063 0.776
Ba 0.999 0.280 0.558
O 0.092 0.100 0.658
O 0.877 0.706 0.353
O 0.934 0.905 0.652
O 0.741 0.452 0.451
O 0.981 0.739 0.511
Ba 0.499 0.058 0.780
Te 0.753 0.196 0.184
Te 0.503 0.791 0.404
O 0.910 0.150 0.395
O 0.382 0.211 0.862
O 0.118 0.711 0.362
O 0.646 0.550 0.146
O 0.336 0.134 0.101
Ba 0.255 0.226 0.732
O 0.171 0.633 0.759
O 0.379 0.717 0.370
O 0.111 0.125 0.517
Te 0.006 0.402 0.785
Te 0.004 0.128 0.288
Te 0.003 0.904 0.291
Br 0.000 0.328 0.328
Ba 0.760 0.474 0.687
O 0.259 0.451 0.452
O 0.621 0.608 0.716
O 0.037 0.017 0.259
O 0.434 0.152 0.405
O 0.232 0.003 0.740
Ba 0.755 0.232 0.726
O 0.732 0.240 0.503
O 0.131 0.535 0.390
O 0.629 0.035 0.892
O 0.879 0.870 0.217
Te 0.497 0.404 0.791
O 0.629 0.676 0.603
Ba 0.251 0.463 0.684
O 0.836 0.601 0.634
O 0.519 0.239 0.011
O 0.389 0.625 0.017
O 0.090 0.395 0.150
O 0.496 0.800 0.299
O 0.963 0.259 0.017
O 0.768 0.740 0.003
O 0.631 0.890 0.035
Te 0.253 0.684 0.696
Te 0.504 0.788 0.628
O 0.621 0.370 0.717
O 0.175 0.842 0.599
O 0.329 0.133 0.259
Ba 0.745 0.732 0.226
O 0.120 0.855 0.212
Te 0.767 0.127 0.437
O 0.825 0.599 0.842
Ba 0.504 0.276 0.563
Ba 0.000 0.510 0.510
Br 0.500 0.332 0.332
O 0.123 0.353 0.706
Te 0.994 0.785 0.402
O 0.241 0.951 0.952
Te 0.997 0.291 0.904
Te 0.996 0.288 0.128
O 0.566 0.405 0.152
Ba 0.260 0.187 0.974
O 0.908 0.658 0.100
Te 0.756 0.960 0.624
O 0.620 0.712 0.355
Te 0.243 0.962 0.849
Te 0.989 0.800 0.628
Br 0.500 0.828 0.828
O 0.164 0.634 0.601
O 0.759 0.952 0.951
O 0.129 0.392 0.535
O 0.369 0.035 0.890
O 0.671 0.259 0.133
O 0.882 0.362 0.711
O 0.278 0.737 0.991
O 0.406 0.091 0.663
Ba 0.500 0.010 0.010
Te 0.233 0.437 0.127
Te 0.256 0.124 0.460
O 0.268 0.503 0.240
Te 0.743 0.349 0.462
Te 0.744 0.460 0.124

Magnetic moment: 0.00 μB/cell
Raw total energy: -5.64 eV/atom
Formation energy: -2.084 eV/atom


[2]
Here is Ba2P7Br after structural relaxation from Materials Project. Energies are from GGA-PBE.

Cell lengths 6.963, 6.384, 12.054 Å; angles 84.10, 90.00, 90.00 degrees
Fractional coordinates of all 20 atoms:
P 0.919 0.360 0.314
Ba 0.250 0.712 0.954
Ba 0.750 0.068 0.648
P 0.750 0.495 0.448
P 0.250 0.169 0.776
P 0.419 0.640 0.686
Br 0.250 0.155 0.086
P 0.750 0.831 0.224
P 0.750 0.832 0.405
P 0.581 0.360 0.314
P 0.507 0.626 0.198
Ba 0.250 0.932 0.352
P 0.081 0.640 0.686
P 0.493 0.374 0.802
P 0.250 0.168 0.595
Ba 0.750 0.288 0.046
Br 0.750 0.845 0.914
P 0.993 0.626 0.198
P 0.007 0.374 0.802
P 0.250 0.505 0.552

Raw total energy: -5.12 eV/atom
Formation energy: -0.833 eV/atom


[3]
Here is Ba9Pr6Br34 after structural relaxation from Materials Project. Energies are from GGA-PBE.

Cell lengths 14.324, 14.324, 14.324 Å; angles 130.29, 130.29, 72.95 degrees
Fractional coordinates of all 49 atoms:
Br 0.306 0.166 0.717
Ba 0.159 0.705 0.179
Br 0.422 0.922 0.500
Br 0.708 0.834 0.704
Br 0.166 0.870 0.874
Br 0.578 0.078 0.500
Ba 0.526 0.979 0.821
Pr 0.178 0.608 0.786
Br 0.330 0.045 0.896
Br 0.955 0.851 0.285
Br 0.218 0.357 0.575
Br 0.149 0.434 0.104
Br 0.589 0.306 0.139
Pr 0.688 0.688 0.000
Ba 0.021 0.841 0.546
Br 0.357 0.782 0.139
Br 0.566 0.670 0.715
Ba 0.474 0.021 0.179
Br 0.078 0.578 0.500
Br 0.045 0.149 0.715
Pr 0.392 0.178 0.570
Br 0.694 0.834 0.283
Ba 0.841 0.295 0.821
Ba 0.979 0.159 0.454
Br 0.166 0.450 0.861
Br 0.922 0.422 0.500
Br 0.834 0.130 0.126
Br 0.670 0.955 0.104
Br 0.782 0.643 0.425
Br 0.550 0.411 0.717
Pr 0.822 0.392 0.214
Ba 0.295 0.474 0.454
Br 0.411 0.694 0.861
Br 0.643 0.218 0.861
Br 0.450 0.589 0.283
Br 0.870 0.996 0.704
Br 0.834 0.550 0.139
Br 0.996 0.292 0.126
Br 0.250 0.750 0.500
Ba 0.705 0.526 0.546
Br 0.292 0.166 0.296
Br 0.130 0.004 0.296
Br 0.434 0.330 0.285
Br 0.851 0.566 0.896
Pr 0.608 0.822 0.430
Pr 0.312 0.312 0.000
Br 0.004 0.708 0.874
Ba 0.000 0.000 0.000
Br 0.750 0.250 0.500

Magnetic moment: 1.96 μB/cell
Raw total energy: -4.12 eV/atom
Formation energy: -2.412 eV/atom


[4]
Here is Rb2BaBr4 after structural relaxation from Materials Project. Energies are from GGA-PBE.

Cell lengths 8.826, 8.826, 8.826 Å; angles 110.02, 110.02, 108.37 degrees
Fractional coordinates of all 14 atoms:
Br 0.974 0.359 0.249
Br 0.109 0.724 0.751
Br 0.109 0.224 0.749
Rb 0.875 0.744 0.369
Ba 0.750 0.250 0.500
Rb 0.494 0.125 0.869
Br 0.474 0.359 0.251
Br 0.641 0.891 0.115
Br 0.276 0.026 0.385
Br 0.641 0.891 0.615
Br 0.776 0.526 0.885
Rb 0.256 0.625 0.131
Ba 0.000 0.000 0.000
Rb 0.375 0.506 0.631

Raw total energy: -3.44 eV/atom
Formation energy: -2.253 eV/atom


What did the second record say?
Here is Ba2P7Br after structural relaxation from Materials Project. Energies are from GGA-PBE.

Cell lengths 6.963, 6.384, 12.054 Å; angles 84.10, 90.00, 90.00 degrees
Fractional coordinates of all 20 atoms:
P 0.919 0.360 0.314
Ba 0.250 0.712 0.954
Ba 0.750 0.068 0.648
P 0.750 0.495 0.448
P 0.250 0.169 0.776
P 0.419 0.640 0.686
Br 0.250 0.155 0.086
P 0.750 0.831 0.224
P 0.750 0.832 0.405
P 0.581 0.360 0.314
P 0.507 0.626 0.198
Ba 0.250 0.932 0.352
P 0.081 0.640 0.686
P 0.493 0.374 0.802
P 0.250 0.168 0.595
Ba 0.750 0.288 0.046
Br 0.750 0.845 0.914
P 0.993 0.626 0.198
P 0.007 0.374 0.802
P 0.250 0.505 0.552

Raw total energy: -5.12 eV/atom
Formation energy: -0.833 eV/atom